(1)
Below is a relaxed structure of Mg2Si3, with properties calculated at the PBE level.

Cell lengths 5.430, 5.430, 18.535 Å; angles 80.42, 80.42, 41.39 degrees
Positions (direct):
Mg (0.108, 0.108, 0.195)
Mg (0.196, 0.196, 0.802)
Mg (0.779, 0.779, 0.053)
Mg (0.522, 0.522, 0.945)
Mg (0.938, 0.938, 0.697)
Mg (0.371, 0.371, 0.301)
Mg (0.609, 0.609, 0.551)
Mg (0.035, 0.035, 0.407)
Si (0.061, 0.061, 0.050)
Si (0.238, 0.238, 0.945)
Si (0.448, 0.448, 0.128)
Si (0.862, 0.862, 0.874)
Si (0.656, 0.656, 0.694)
Si (0.644, 0.644, 0.303)
Si (0.910, 0.910, 0.552)
Si (0.749, 0.749, 0.409)
Si (0.277, 0.277, 0.621)
Si (0.330, 0.330, 0.476)
Si (0.819, 0.819, 0.196)
Si (0.483, 0.483, 0.800)

## Properties
Excess energy over the best structure of this formula in the dataset in kJ/mol of atoms: 5.67
Formation energy from the elements in eV per atom: 0.138
Crystal system: monoclinic
Calculated volume in Å³/cell: 355.5

---

(2)
Below is a relaxed structure of Mg5Si6, with properties calculated at the PBE level.

Cell lengths 4.000, 6.925, 14.663 Å; angles 83.00, 90.00, 90.00 degrees
Positions (direct):
Mg (0.250, 0.386, 0.758)
Mg (0.750, 0.614, 0.242)
Mg (0.250, 0.734, 0.379)
Mg (0.250, 0.471, 0.090)
Mg (0.750, 0.529, 0.910)
Mg (0.750, 0.266, 0.621)
Mg (0.250, 0.284, 0.328)
Mg (0.250, 0.953, 0.171)
Mg (0.750, 0.047, 0.829)
Mg (0.750, 0.716, 0.672)
Si (0.250, 0.024, 0.692)
Si (0.250, 0.746, 0.807)
Si (0.750, 0.254, 0.193)
Si (0.750, 0.976, 0.308)
Si (0.250, 0.552, 0.555)
Si (0.250, 0.212, 0.942)
Si (0.750, 0.788, 0.058)
Si (0.750, 0.077, 0.460)
Si (0.250, 0.923, 0.540)
Si (0.250, 0.844, 0.957)
Si (0.750, 0.156, 0.043)
Si (0.750, 0.448, 0.445)

## Properties
Excess energy over the best structure of this formula in the dataset in kJ/mol of atoms: 2.60
Formation energy from the elements in eV per atom: 0.093
Crystal system: monoclinic
Calculated volume in Å³/cell: 403.1